A plane-wave DFT calculation with PBE was carried out for Ca9Zn4Bi9 after structural relaxation. Values from VASP.

The structure in Quantum ESPRESSO input format:
```
&SYSTEM
  ibrav = 0, nat = 44, ntyp = 3
/
ATOMIC_SPECIES
Ca 40.08 Ca.upf
Zn 65.41 Zn.upf
Bi 208.98 Bi.upf
CELL_PARAMETERS angstrom
-2.583 -2.755 -2.783
10.517 -3.446 -6.348
2.938 -16.992 14.093
ATOMIC_POSITIONS angstrom
Ca 5.436 -11.597 2.480
Ca -1.291 -1.377 -1.392
Ca 9.881 -6.999 -2.241
Ca 3.575 -13.439 9.985
Ca 4.712 -5.798 1.365
Ca 8.743 -14.641 6.379
Ca 6.416 -5.519 -4.445
Ca 4.456 -17.675 9.406
Ca 2.035 -8.867 2.935
Ca 8.838 -14.327 2.026
Ca 10.967 -10.187 -0.094
Ca 2.489 -10.252 7.838
Ca 4.760 -2.982 -1.466
Ca 8.695 -17.457 9.210
Ca 7.702 -8.328 1.096
Ca 5.754 -12.111 6.648
Ca 1.785 -2.795 1.111
Ca 11.671 -17.643 6.633
Zn 9.176 -20.081 7.408
Zn 1.697 -3.113 -2.447
Zn 2.725 -11.464 4.865
Zn 8.147 -11.729 0.096
Zn 10.304 -17.409 3.716
Zn 0.569 -5.785 1.245
Zn 4.969 -15.241 6.522
Zn 5.904 -7.952 -1.561
Bi 0.178 -9.874 5.655
Bi 3.967 -3.101 -4.566
Bi 7.022 -5.398 -1.174
Bi 6.433 -15.041 8.918
Bi 2.098 -5.605 3.602
Bi 11.358 -14.833 4.142
Bi 8.185 -9.765 -1.883
Bi 2.688 -13.429 6.844
Bi 2.459 -5.339 -0.950
Bi 8.414 -17.854 5.911
Bi 9.162 -7.122 -5.406
Bi 1.711 -16.072 10.367
Bi 4.522 -8.978 0.737
Bi 6.350 -14.215 4.224
Bi 8.541 -2.944 -5.012
Bi 4.914 -17.495 12.756
Bi 4.699 -9.409 4.953
Bi 8.757 -11.029 2.791
```

Symmetry = Pbam, No. 55
Energy relative to the elements = -0.6557 eV/atom
Total DFT energy (no corrections) = -3.30 eV/atom
Calculated volume = 1333 Å³/cell

A plane-wave DFT calculation with PBE was carried out for CdBi3 after structural relaxation. Values from VASP.

The structure in Quantum ESPRESSO input format:
```
&SYSTEM
  ibrav = 0, nat = 4, ntyp = 2
/
ATOMIC_SPECIES
Cd 112.41 Cd.upf
Bi 208.98 Bi.upf
CELL_PARAMETERS angstrom
-2.537 2.537 4.725
2.537 -2.537 4.725
2.537 2.537 -4.725
ATOMIC_POSITIONS angstrom
Cd 0.000 0.000 0.000
Bi 0.000 2.537 2.363
Bi 2.537 0.000 2.363
Bi 0.000 0.000 4.725
```

Symmetry = I4/mmm, No. 139
Energy relative to the elements = 0.1078 eV/atom
Energy above the most stable polymorph in this dataset = 0 meV/atom
Total DFT energy (no corrections) = -3.04 eV/atom
Calculated volume = 122 Å³/cell

A plane-wave DFT calculation with PBE was carried out for CdBi3 after structural relaxation. Values from VASP.

The structure in Quantum ESPRESSO input format:
```
&SYSTEM
  ibrav = 0, nat = 4, ntyp = 2
/
ATOMIC_SPECIES
Cd 112.41 Cd.upf
Bi 208.98 Bi.upf
CELL_PARAMETERS angstrom
-0.812 4.670 1.438
-4.714 -0.364 -1.478
-1.288 -1.610 4.504
ATOMIC_POSITIONS angstrom
Cd 0.000 0.000 0.000
Bi -3.001 -0.987 1.513
Bi -1.050 1.530 2.971
Bi -2.763 2.153 -0.020
```

Symmetry = Pm-3m, No. 221
Energy relative to the elements = 0.1257 eV/atom
Energy above the most stable polymorph in this dataset = 18 meV/atom
Total DFT energy (no corrections) = -3.02 eV/atom
Calculated volume = 122 Å³/cell

A plane-wave DFT calculation with PBE was carried out for CdBi8Cl10O8 after structural relaxation. Values from VASP.

The structure in Quantum ESPRESSO input format:
```
&SYSTEM
  ibrav = 0, nat = 27, ntyp = 4
/
ATOMIC_SPECIES
Cd 112.41 Cd.upf
Bi 208.98 Bi.upf
Cl 35.45 Cl.upf
O 16.00 O.upf
CELL_PARAMETERS angstrom
2.761 -18.247 0.000
2.761 18.247 0.000
0.000 0.000 5.521
ATOMIC_POSITIONS angstrom
Cd 0.000 0.000 2.760
Bi 2.761 -14.170 0.000
Bi 2.761 4.077 2.760
Bi 2.761 -4.077 2.760
Bi 2.761 14.170 0.000
Bi 2.761 -6.627 0.000
Bi 2.761 11.595 2.760
Bi 2.761 -11.595 2.760
Bi 2.761 6.627 0.000
Cl 2.761 -2.735 0.000
Cl 2.761 15.540 2.760
Cl 2.761 -15.540 2.760
Cl 2.761 2.735 0.000
Cl 2.761 0.000 2.760
Cl 0.000 0.000 0.000
Cl 2.761 -10.248 0.000
Cl 2.761 7.999 2.760
Cl 2.761 -7.999 2.760
Cl 2.761 10.248 0.000
O 4.148 5.356 4.134
O 1.373 5.356 1.387
O 1.373 5.356 4.134
O 4.148 5.356 1.387
O 4.148 -5.356 4.134
O 1.373 -5.356 1.387
O 1.373 -5.356 4.134
O 4.148 -5.356 1.387
```

Symmetry = Cmmm, No. 65
Energy relative to the elements = -1.4000 eV/atom
Total DFT energy (no corrections) = -4.53 eV/atom
Calculated volume = 556 Å³/cell

A plane-wave DFT calculation with PBE was carried out for CdBiS2Cl after structural relaxation. Values from VASP.

The structure in Quantum ESPRESSO input format:
```
&SYSTEM
  ibrav = 0, nat = 20, ntyp = 4
/
ATOMIC_SPECIES
Cd 112.41 Cd.upf
Bi 208.98 Bi.upf
S 32.06 S.upf
Cl 35.45 Cl.upf
CELL_PARAMETERS angstrom
4.010 0.000 0.000
0.000 9.671 0.000
0.000 0.000 12.791
ATOMIC_POSITIONS angstrom
Cd 3.007 9.633 9.768
Cd 1.002 0.038 3.023
Cd 3.007 4.798 9.419
Cd 1.002 4.873 3.373
Bi 1.002 7.799 6.745
Bi 1.002 2.964 12.442
Bi 3.007 6.707 0.349
Bi 3.007 1.872 6.046
S 3.007 7.280 8.540
S 1.002 7.226 2.144
S 3.007 4.326 1.431
S 1.002 5.345 11.360
S 3.007 2.445 10.647
S 3.007 9.161 4.964
S 1.002 0.510 7.827
S 1.002 2.391 4.251
Cl 3.007 0.713 1.359
Cl 3.007 5.549 5.037
Cl 1.002 8.957 11.433
Cl 1.002 4.122 7.754
```

Symmetry = Pnma, No. 62
Energy relative to the elements = -0.9496 eV/atom
Total DFT energy (no corrections) = -3.61 eV/atom
Calculated volume = 496 Å³/cell

A plane-wave DFT calculation with PBE was carried out for Cs2CdBi2S5 after structural relaxation. Values from VASP.

The structure in Quantum ESPRESSO input format:
```
&SYSTEM
  ibrav = 0, nat = 40, ntyp = 4
/
ATOMIC_SPECIES
Cs 132.91 Cs.upf
Cd 112.41 Cd.upf
Bi 208.98 Bi.upf
S 32.06 S.upf
CELL_PARAMETERS angstrom
-1.237 2.055 3.484
-7.111 -13.397 5.379
15.918 -4.997 8.599
ATOMIC_POSITIONS angstrom
Cs 1.989 -14.899 13.348
Cs 1.438 -7.560 8.822
Cs 6.133 -8.778 8.640
Cs 6.956 -16.851 13.694
Cs 5.582 -1.439 4.114
Cs -1.890 -6.908 4.688
Cs 9.461 -9.430 12.774
Cs 0.615 0.513 3.768
Cd 8.233 -13.287 12.045
Cd -0.662 -3.051 5.417
Cd -0.892 -10.793 9.902
Cd 8.463 -5.545 7.560
Bi 13.505 -7.809 10.685
Bi 10.402 -5.265 10.650
Bi 2.463 -4.921 5.061
Bi 2.571 -12.191 9.389
Bi 4.999 -4.147 8.073
Bi -2.831 -11.073 6.812
Bi 5.108 -11.417 12.401
Bi -5.934 -8.529 6.777
S 10.690 -12.906 12.692
S 7.055 -3.951 6.119
S 3.466 -9.828 10.880
S 3.389 -2.672 6.631
S 4.105 -6.510 6.582
S -3.119 -3.432 4.770
S 4.182 -13.666 10.831
S 0.096 -10.559 7.547
S -3.319 -11.675 9.561
S 0.269 -4.987 6.889
S 10.890 -4.663 7.901
S 6.730 -13.360 14.123
S -5.450 -11.325 6.030
S 7.302 -11.352 10.573
S 7.475 -5.779 9.915
S 13.021 -5.013 11.432
S -3.442 -8.342 7.551
S 0.840 -2.978 3.339
S 11.013 -7.996 9.911
S 0.515 -12.388 11.343
```

Symmetry = Pnma, No. 62
Energy relative to the elements = -0.9967 eV/atom
Total DFT energy (no corrections) = -3.86 eV/atom
Calculated volume = 1278 Å³/cell

A plane-wave DFT calculation with PBE was carried out for Li2CdBi after structural relaxation. Values from VASP.

The structure in Quantum ESPRESSO input format:
```
&SYSTEM
  ibrav = 0, nat = 4, ntyp = 3
/
ATOMIC_SPECIES
Li 6.94 Li.upf
Cd 112.41 Cd.upf
Bi 208.98 Bi.upf
CELL_PARAMETERS angstrom
0.000 3.477 3.477
3.477 0.000 3.477
3.477 3.477 0.000
ATOMIC_POSITIONS angstrom
Li 1.738 1.738 1.738
Li 5.215 5.215 5.215
Cd 0.000 0.000 0.000
Bi 3.477 3.477 3.477
```

Symmetry = Fm-3m, No. 225
Energy relative to the elements = -0.3531 eV/atom
Total DFT energy (no corrections) = -2.51 eV/atom
Calculated volume = 84 Å³/cell

A plane-wave DFT calculation with PBE was carried out for Mg6CdBi after structural relaxation. Values from VASP.

The structure in Quantum ESPRESSO input format:
```
&SYSTEM
  ibrav = 0, nat = 16, ntyp = 3
/
ATOMIC_SPECIES
Mg 24.30 Mg.upf
Cd 112.41 Cd.upf
Bi 208.98 Bi.upf
CELL_PARAMETERS angstrom
-4.999 -0.903 1.883
1.207 -6.158 0.251
3.741 1.161 10.488
ATOMIC_POSITIONS angstrom
Mg 0.612 -1.426 0.941
Mg 1.222 -4.537 1.068
Mg 1.242 0.385 3.480
Mg -0.052 -4.584 5.459
Mg -0.652 -1.518 5.334
Mg -1.872 -0.257 2.700
Mg 3.086 -3.925 6.311
Mg 2.489 -0.878 6.186
Mg 3.716 -2.113 8.850
Mg 1.216 -0.924 10.577
Mg 1.822 -4.017 10.704
Mg 0.602 -2.755 8.070
Cd 1.906 -2.675 3.777
Cd 3.173 0.985 8.896
Bi -1.301 -3.346 2.737
Bi -0.033 0.314 7.856
```

Energy relative to the elements = -0.0406 eV/atom
Energy above the most stable polymorph in this dataset = 0 meV/atom
Total DFT energy (no corrections) = -1.84 eV/atom
Calculated volume = 381 Å³/cell

A plane-wave DFT calculation with PBE was carried out for Mg6CdBi after structural relaxation. Values from VASP.

The structure in Quantum ESPRESSO input format:
```
&SYSTEM
  ibrav = 0, nat = 16, ntyp = 3
/
ATOMIC_SPECIES
Mg 24.30 Mg.upf
Cd 112.41 Cd.upf
Bi 208.98 Bi.upf
CELL_PARAMETERS angstrom
-1.022 -2.792 4.486
0.827 -5.565 -3.275
10.634 0.113 2.492
ATOMIC_POSITIONS angstrom
Mg 5.902 -2.719 2.881
Mg 6.317 -5.507 1.240
Mg 4.650 -1.365 0.209
Mg 5.057 -4.105 -1.403
Mg 7.091 0.075 1.662
Mg 1.751 0.019 0.410
Mg 0.999 -5.558 -0.003
Mg 0.586 -2.780 1.631
Mg 10.380 -4.091 -0.182
Mg 9.961 -1.267 1.480
Mg 2.188 -2.764 -1.222
Mg 7.481 -2.708 0.019
Cd 8.342 -1.302 4.318
Cd 3.438 -4.141 1.434
Bi 3.035 -1.359 3.074
Bi 8.765 -4.085 2.683
```

Energy relative to the elements = -0.0327 eV/atom
Energy above the most stable polymorph in this dataset = 8 meV/atom
Total DFT energy (no corrections) = -1.83 eV/atom
Calculated volume = 383 Å³/cell

A plane-wave DFT calculation with PBE was carried out for Mg6CdBiO8 after structural relaxation. Values from VASP.

The structure in Quantum ESPRESSO input format:
```
&SYSTEM
  ibrav = 0, nat = 16, ntyp = 4
/
ATOMIC_SPECIES
Mg 24.30 Mg.upf
Cd 112.41 Cd.upf
Bi 208.98 Bi.upf
O 16.00 O.upf
CELL_PARAMETERS angstrom
-5.302 -3.792 -6.477
3.586 -0.169 -2.836
1.051 -4.164 1.577
ATOMIC_POSITIONS angstrom
Mg 2.318 -2.166 -0.630
Mg -0.333 -4.062 -3.868
Mg -0.721 -2.973 -0.735
Mg -3.530 -4.982 -4.166
Mg 0.546 -0.976 -2.941
Mg -2.262 -2.985 -6.372
Cd 0.000 0.000 0.000
Bi -2.651 -1.896 -3.239
O -1.314 -0.940 -1.605
O -3.988 -2.852 -4.872
O 0.977 -3.125 -2.268
O -1.643 -4.999 -5.469
O 0.526 -2.082 0.788
O -2.125 -3.978 -2.450
O 1.793 -0.084 -1.418
O -0.858 -1.980 -4.657
```

Symmetry = P4/mmm, No. 123
Energy relative to the elements = -2.2962 eV/atom
Energy above the most stable polymorph in this dataset = 44 meV/atom
Total DFT energy (no corrections) = -5.33 eV/atom
Calculated volume = 192 Å³/cell

A plane-wave DFT calculation with PBE was carried out for Mg6CdBiO8 after structural relaxation. Values from VASP.

The structure in Quantum ESPRESSO input format:
```
&SYSTEM
  ibrav = 0, nat = 16, ntyp = 4
/
ATOMIC_SPECIES
Mg 24.30 Mg.upf
Cd 112.41 Cd.upf
Bi 208.98 Bi.upf
O 16.00 O.upf
CELL_PARAMETERS angstrom
8.997 0.000 0.000
0.000 4.600 0.000
0.000 0.000 4.600
ATOMIC_POSITIONS angstrom
Mg 4.498 0.000 0.000
Mg 4.498 2.300 2.300
Mg 2.435 0.000 2.300
Mg 6.562 0.000 2.300
Mg 2.435 2.300 0.000
Mg 6.562 2.300 0.000
Cd 0.000 0.000 0.000
Bi 0.000 2.300 2.300
O 2.458 0.000 0.000
O 6.539 0.000 0.000
O 2.441 2.300 2.300
O 6.556 2.300 2.300
O 0.000 0.000 2.300
O 4.498 0.000 2.300
O 0.000 2.300 0.000
O 4.498 2.300 0.000
```

Symmetry = P4/mmm, No. 123
Energy relative to the elements = -2.3401 eV/atom
Energy above the most stable polymorph in this dataset = 0 meV/atom
Total DFT energy (no corrections) = -5.37 eV/atom
Calculated volume = 190 Å³/cell

A plane-wave DFT calculation with PBE was carried out for Cd2Bi6O11 after structural relaxation. Values from VASP.

The structure in Quantum ESPRESSO input format:
```
&SYSTEM
  ibrav = 0, nat = 19, ntyp = 3
/
ATOMIC_SPECIES
Cd 112.41 Cd.upf
Bi 208.98 Bi.upf
O 16.00 O.upf
CELL_PARAMETERS angstrom
-2.206 -2.661 -1.249
1.355 -2.360 2.488
-16.611 6.203 15.966
ATOMIC_POSITIONS angstrom
Cd -4.998 -3.006 4.930
Cd -2.798 -1.240 2.655
Bi -15.104 3.624 14.690
Bi -14.600 1.972 10.781
Bi -10.514 1.326 10.389
Bi -9.925 0.306 6.595
Bi -6.275 -0.229 6.595
Bi -1.113 -4.777 1.557
O -14.133 3.460 16.717
O -17.079 4.191 15.979
O -15.205 1.549 12.837
O -12.652 2.446 11.698
O -8.324 -1.239 6.927
O -11.229 -0.761 10.837
O -9.036 0.759 8.972
O -7.852 1.243 6.263
O -6.611 -1.478 4.469
O -2.966 -2.047 4.701
O -2.988 -2.932 1.170
```

Symmetry = P1, No. 1
Energy relative to the elements = -1.4776 eV/atom
Energy above the most stable polymorph in this dataset = 0 meV/atom
Total DFT energy (no corrections) = -5.27 eV/atom
Calculated volume = 323 Å³/cell

A plane-wave DFT calculation with PBE was carried out for Cd2Bi6O11 after structural relaxation. Values from VASP.

The structure in Quantum ESPRESSO input format:
```
&SYSTEM
  ibrav = 0, nat = 38, ntyp = 3
/
ATOMIC_SPECIES
Cd 112.41 Cd.upf
Bi 208.98 Bi.upf
O 16.00 O.upf
CELL_PARAMETERS angstrom
-5.641 -5.029 0.262
0.421 -4.668 -6.063
6.995 -8.000 6.071
ATOMIC_POSITIONS angstrom
Cd 0.004 -0.133 0.030
Cd -1.779 -9.111 -2.773
Cd 0.964 -8.994 0.107
Cd 0.490 -4.257 0.232
Bi 0.933 -11.114 3.043
Bi 3.856 -8.744 3.140
Bi 3.545 -9.197 -2.554
Bi 0.559 -7.067 2.716
Bi 0.940 -6.594 -2.850
Bi 1.374 -13.910 0.799
Bi -2.343 -4.821 -3.051
Bi 4.381 -10.767 0.241
Bi -2.008 -10.777 0.250
Bi -4.818 -7.591 -2.438
Bi -2.931 -2.793 0.064
Bi -2.340 -6.460 0.280
O 2.628 -16.006 1.092
O 2.362 -7.838 1.859
O 0.111 -12.185 1.345
O 2.604 -13.466 2.474
O 6.009 -10.087 2.192
O 3.107 -10.654 2.043
O -1.538 -4.469 1.116
O 1.503 -5.056 2.231
O -0.186 -6.970 0.693
O 4.400 -6.338 3.861
O 2.603 -9.537 4.740
O -0.064 -9.396 2.203
O 2.519 -10.234 -0.932
O -3.172 -10.727 -3.835
O -1.904 -6.889 -2.487
O 5.110 -12.769 0.549
O 2.372 -7.126 -1.331
O 0.132 -4.740 -2.161
O -0.587 -10.146 -1.240
O -3.397 -4.638 -1.038
O -3.068 -8.923 -0.181
O -0.205 -2.112 -0.774
```

Symmetry = P1, No. 1
Energy relative to the elements = -1.4620 eV/atom
Energy above the most stable polymorph in this dataset = 16 meV/atom
Total DFT energy (no corrections) = -5.25 eV/atom
Calculated volume = 667 Å³/cell

A plane-wave DFT calculation with PBE was carried out for YCdBiO4 after structural relaxation. Values from VASP.

The structure in Quantum ESPRESSO input format:
```
&SYSTEM
  ibrav = 0, nat = 56, ntyp = 4
/
ATOMIC_SPECIES
Y 88.91 Y.upf
Cd 112.41 Cd.upf
Bi 208.98 Bi.upf
O 16.00 O.upf
CELL_PARAMETERS angstrom
-7.240 7.240 4.722
7.240 -7.240 4.722
7.240 7.240 -4.722
ATOMIC_POSITIONS angstrom
Y -4.859 4.859 4.722
Y 4.859 4.859 4.722
Y 4.859 2.381 2.361
Y 9.621 2.381 2.361
Y 2.381 2.381 0.000
Y 4.859 -4.859 4.722
Y 4.859 -2.381 2.361
Y 9.621 -2.381 2.361
Cd -1.568 3.620 3.541
Cd 1.568 3.620 3.541
Cd 3.620 5.671 1.180
Cd 3.620 -1.568 5.902
Cd 5.671 3.620 -1.180
Cd 8.808 3.620 -1.180
Cd 3.620 8.808 1.180
Cd 3.620 1.568 5.902
Bi 7.240 5.221 1.515
Bi -2.018 7.240 3.876
Bi 2.018 7.240 3.876
Bi 0.000 2.018 6.237
Bi 0.000 9.258 0.846
Bi 2.018 0.000 3.207
Bi 5.221 7.240 -1.515
Bi 0.000 5.221 0.846
O 7.240 3.217 0.882
O -4.022 7.240 3.243
O 4.022 7.240 3.243
O 0.000 4.022 5.604
O 0.000 11.262 1.479
O 4.022 0.000 3.840
O 3.217 7.240 -0.882
O 0.000 3.217 1.479
O 9.426 4.504 2.512
O 5.054 4.504 2.512
O 4.504 2.186 0.151
O 9.975 2.186 0.151
O 2.186 2.735 7.234
O -2.186 2.735 7.234
O -2.735 5.054 4.873
O 2.735 5.054 4.873
O 5.054 2.735 4.571
O 2.186 9.975 -0.151
O 2.735 -2.186 2.210
O 4.504 5.054 -2.512
O 5.054 -2.735 4.571
O 2.186 4.504 -0.151
O 2.735 2.186 2.210
O 4.504 9.426 -2.512
O -1.559 5.680 2.361
O 1.559 5.680 2.361
O 5.680 5.680 0.000
O 1.559 -1.559 4.722
O -1.559 8.799 2.361
O 1.559 8.799 2.361
O -1.559 1.559 4.722
O 1.559 1.559 4.722
```

Symmetry = I4_1/amd, No. 141
Energy relative to the elements = -2.1935 eV/atom
Total DFT energy (no corrections) = -6.24 eV/atom
Calculated volume = 990 Å³/cell